# Te2MoW2Se4 GGA-PBE optimized geometry
data_Te2MoW2Se4
_cell_length_a 3.3969
_cell_length_b 3.3969
_cell_length_c 31.4420
_cell_angle_alpha 90.00
_cell_angle_beta 90.00
_cell_angle_gamma 120.00
_space_group_name_H-M_alt 'P 1'
_space_group_IT_number 1
_space_group_name_Hall 'P 1'
loop_
_atom_site_label
_atom_site_type_symbol
_atom_site_fract_x
_atom_site_fract_y
_atom_site_fract_z
Mo1 Mo 0.0000 0.0000 0.1156
Se1 Se 0.3333 0.6667 0.5256
Se2 Se 0.0000 0.0000 0.2943
Se3 Se 0.0000 0.0000 0.3997
Se4 Se 0.3333 0.6667 0.6310
Te1 Te 0.3333 0.6667 0.1752
Te2 Te 0.3333 0.6667 0.0561
W1 W 0.0000 0.0000 0.5783
W2 W 0.3333 0.6667 0.3470
# E above lowest polymorph	0	meV per atom
# energy of formation	-0.65	eV/atom
# size of the total moment	0.0	μB per formula unit